PuCdHg2 after structural relaxation, computed with PBE.

Cell and atoms, written as POSCAR:
```
PuCdHg2
1.0
-0.5304 0.7260 5.0949
-4.6254 1.2186 1.9716
-2.5892 -3.4557 2.8497
Pu Cd Hg
1 1 2
Direct
0.0000 0.0000 0.0000
0.5000 0.5000 0.5000
0.2500 0.2500 0.2500
0.7500 0.7500 0.7500
```

Results
Calculated formation energy = -0.16 eV/atom